(1)
Entry from the Materials Project database: an optimized crystal structure of Sr2Re4H16C3N6O21 (PBE).

Summary:
Corrected total energy (MP2020 scheme), eV per atom: -7.06
Density, g/cm³: 3.4
Relative energy among the computed polymorphs, meV per atom: 0
Total magnetic moment, μB per cell: 0.056
Symmetry: No. 43
DFT formation energy, eV/atom: -1.51
Crystal system: orthorhombic
Final energy, eV per atom: -6.787

CIF file:
```
data_Sr2Re4H16C3N6O21
_cell_length_a 17.917
_cell_length_b 10.648
_cell_length_c 20.092
_cell_angle_alpha 62.73
_cell_angle_beta 31.89
_cell_angle_gamma 85.38
_symmetry_space_group_name_H-M 'P 1'
_symmetry_Int_Tables_number 1
_symmetry_space_group_name_Hall 'P 1'
loop_
_atom_site_label
_atom_site_type_symbol
_atom_site_fract_x
_atom_site_fract_y
_atom_site_fract_z
Sr1 Sr 0.395 0.605 0.598
Sr2 Sr 0.605 0.395 0.402
Sr3 Sr 0.652 0.848 0.855
Sr4 Sr 0.848 0.652 0.645
Re1 Re 0.110 0.427 0.438
Re2 Re 0.203 0.866 0.611
Re3 Re 0.225 0.812 0.823
Re4 Re 0.427 0.110 0.025
Re5 Re 0.639 0.930 0.047
Re6 Re 0.812 0.225 0.140
Re7 Re 0.866 0.203 0.320
Re8 Re 0.930 0.639 0.384
H1 H 0.053 0.103 0.882
H2 H 0.054 0.724 0.605
H3 H 0.066 0.203 0.318
H4 H 0.099 0.430 0.639
H5 H 0.103 0.053 0.962
H6 H 0.170 0.533 0.639
H7 H 0.174 0.731 0.458
H8 H 0.175 0.259 0.586
H9 H 0.203 0.066 0.413
H10 H 0.203 0.278 0.944
H11 H 0.259 0.175 0.980
H12 H 0.270 0.664 0.991
H13 H 0.278 0.203 0.575
H14 H 0.288 0.368 0.147
H15 H 0.306 0.675 0.047
H16 H 0.368 0.288 0.197
H17 H 0.417 0.611 0.820
H18 H 0.430 0.099 0.833
H19 H 0.533 0.170 0.658
H20 H 0.592 0.611 0.717
H21 H 0.611 0.417 0.151
H22 H 0.611 0.592 0.080
H23 H 0.613 0.792 0.519
H24 H 0.633 0.645 0.526
H25 H 0.645 0.633 0.196
H26 H 0.664 0.270 0.075
H27 H 0.675 0.306 0.972
H28 H 0.724 0.054 0.617
H29 H 0.731 0.174 0.637
H30 H 0.792 0.613 0.076
H31 H 0.837 0.932 0.047
H32 H 0.932 0.837 0.184
C1 C 0.110 0.110 0.390
C2 C 0.237 0.373 0.604
C3 C 0.373 0.237 0.785
C4 C 0.465 0.646 0.877
C5 C 0.646 0.465 0.013
C6 C 0.860 0.860 0.140
N1 N 0.160 0.237 0.274
N2 N 0.165 0.453 0.626
N3 N 0.219 0.260 0.599
N4 N 0.237 0.160 0.328
N5 N 0.260 0.219 0.922
N6 N 0.328 0.651 0.990
N7 N 0.453 0.165 0.755
N8 N 0.495 0.624 0.797
N9 N 0.624 0.495 0.085
N10 N 0.651 0.328 0.031
N11 N 0.922 0.976 0.013
N12 N 0.976 0.922 0.090
O1 O 0.005 0.523 0.510
O2 O 0.027 0.774 0.827
O3 O 0.043 0.315 0.959
O4 O 0.043 0.665 0.585
O5 O 0.094 0.395 0.077
O6 O 0.124 0.873 0.592
O7 O 0.173 0.816 0.156
O8 O 0.197 0.941 0.270
O9 O 0.209 0.427 0.435
O10 O 0.267 0.728 0.590
O11 O 0.288 0.740 0.727
O12 O 0.291 0.567 0.207
O13 O 0.315 0.043 0.683
O14 O 0.315 0.397 0.596
O15 O 0.321 0.815 0.823
O16 O 0.395 0.094 0.434
O17 O 0.397 0.315 0.692
O18 O 0.423 0.877 0.223
O19 O 0.427 0.209 0.929
O20 O 0.523 0.005 0.962
O21 O 0.544 0.665 0.585
O22 O 0.558 0.654 0.853
O23 O 0.567 0.291 0.935
O24 O 0.654 0.558 0.935
O25 O 0.658 0.838 0.126
O26 O 0.658 0.980 0.309
O27 O 0.660 0.836 0.983
O28 O 0.665 0.043 0.706
O29 O 0.665 0.544 0.207
O30 O 0.697 0.697 0.303
O31 O 0.728 0.267 0.414
O32 O 0.740 0.288 0.245
O33 O 0.774 0.027 0.373
O34 O 0.815 0.321 0.041
O35 O 0.816 0.173 0.855
O36 O 0.836 0.660 0.522
O37 O 0.838 0.658 0.377
O38 O 0.873 0.124 0.412
O39 O 0.877 0.423 0.476
O40 O 0.941 0.197 0.592
O41 O 0.947 0.947 0.553
O42 O 0.980 0.658 0.053
```

(2)
Entry from the Materials Project database: an optimized crystal structure of H12RhC8NO6 (PBE).

Summary:
Corrected total energy (MP2020 scheme), eV per atom: -6.33
Density, g/cm³: 1.7
Total magnetic moment, μB per cell: 0.004
Symmetry: No. 62
DFT formation energy, eV/atom: -0.62
Crystal system: orthorhombic
Final energy, eV per atom: -6.181

CIF file:
```
data_H12RhC8NO6
_cell_length_a 16.955
_cell_length_b 6.598
_cell_length_c 11.542
_cell_angle_alpha 90.00
_cell_angle_beta 90.00
_cell_angle_gamma 90.00
_symmetry_space_group_name_H-M 'P 1'
_symmetry_Int_Tables_number 1
_symmetry_space_group_name_Hall 'P 1'
loop_
_atom_site_label
_atom_site_type_symbol
_atom_site_fract_x
_atom_site_fract_y
_atom_site_fract_z
H1 H 0.039 0.250 0.026
H2 H 0.086 0.113 0.142
H3 H 0.086 0.387 0.142
H4 H 0.117 0.067 0.889
H5 H 0.117 0.433 0.889
H6 H 0.165 0.569 0.004
H7 H 0.165 0.931 0.004
H8 H 0.213 0.750 0.555
H9 H 0.223 0.067 0.899
H10 H 0.223 0.433 0.899
H11 H 0.228 0.113 0.160
H12 H 0.228 0.387 0.160
H13 H 0.272 0.613 0.660
H14 H 0.272 0.887 0.660
H15 H 0.277 0.567 0.399
H16 H 0.277 0.933 0.399
H17 H 0.287 0.250 0.055
H18 H 0.335 0.069 0.504
H19 H 0.335 0.431 0.504
H20 H 0.383 0.567 0.389
H21 H 0.383 0.933 0.389
H22 H 0.414 0.613 0.642
H23 H 0.414 0.887 0.642
H24 H 0.461 0.750 0.526
H25 H 0.539 0.250 0.474
H26 H 0.586 0.113 0.358
H27 H 0.586 0.387 0.358
H28 H 0.617 0.067 0.611
H29 H 0.617 0.433 0.611
H30 H 0.665 0.569 0.496
H31 H 0.665 0.931 0.496
H32 H 0.713 0.750 0.945
H33 H 0.723 0.067 0.601
H34 H 0.723 0.433 0.601
H35 H 0.728 0.113 0.340
H36 H 0.728 0.387 0.340
H37 H 0.772 0.613 0.840
H38 H 0.772 0.887 0.840
H39 H 0.777 0.567 0.101
H40 H 0.777 0.933 0.101
H41 H 0.787 0.250 0.445
H42 H 0.835 0.069 0.996
H43 H 0.835 0.431 0.996
H44 H 0.883 0.567 0.111
H45 H 0.883 0.933 0.111
H46 H 0.914 0.613 0.858
H47 H 0.914 0.887 0.858
H48 H 0.961 0.750 0.974
Rh1 Rh 0.004 0.750 0.499
Rh2 Rh 0.496 0.250 0.999
Rh3 Rh 0.504 0.750 0.001
Rh4 Rh 0.996 0.250 0.501
C1 C 0.029 0.750 0.253
C2 C 0.044 0.750 0.648
C3 C 0.088 0.250 0.089
C4 C 0.098 0.250 0.443
C5 C 0.113 0.750 0.308
C6 C 0.168 0.064 0.948
C7 C 0.168 0.436 0.948
C8 C 0.232 0.250 0.106
C9 C 0.268 0.750 0.606
C10 C 0.332 0.564 0.448
C11 C 0.332 0.936 0.448
C12 C 0.387 0.250 0.808
C13 C 0.402 0.750 0.943
C14 C 0.412 0.750 0.589
C15 C 0.456 0.250 0.148
C16 C 0.471 0.250 0.753
C17 C 0.529 0.750 0.247
C18 C 0.544 0.750 0.852
C19 C 0.588 0.250 0.411
C20 C 0.598 0.250 0.057
C21 C 0.613 0.750 0.192
C22 C 0.668 0.064 0.552
C23 C 0.668 0.436 0.552
C24 C 0.732 0.250 0.394
C25 C 0.768 0.750 0.894
C26 C 0.832 0.564 0.052
C27 C 0.832 0.936 0.052
C28 C 0.887 0.250 0.692
C29 C 0.902 0.750 0.557
C30 C 0.912 0.750 0.911
C31 C 0.956 0.250 0.352
C32 C 0.971 0.250 0.747
N1 N 0.164 0.250 0.023
N2 N 0.336 0.750 0.523
N3 N 0.664 0.250 0.477
N4 N 0.836 0.750 0.977
O1 O 0.021 0.750 0.146
O2 O 0.030 0.250 0.674
O3 O 0.071 0.750 0.741
O4 O 0.115 0.750 0.421
O5 O 0.162 0.250 0.408
O6 O 0.173 0.750 0.246
O7 O 0.327 0.250 0.746
O8 O 0.338 0.750 0.908
O9 O 0.385 0.250 0.921
O10 O 0.429 0.250 0.241
O11 O 0.470 0.750 0.174
O12 O 0.479 0.250 0.646
O13 O 0.521 0.750 0.354
O14 O 0.530 0.250 0.826
O15 O 0.571 0.750 0.759
O16 O 0.615 0.750 0.079
O17 O 0.662 0.250 0.092
O18 O 0.673 0.750 0.254
O19 O 0.827 0.250 0.754
O20 O 0.838 0.750 0.592
O21 O 0.885 0.250 0.579
O22 O 0.929 0.250 0.259
O23 O 0.970 0.750 0.326
O24 O 0.979 0.250 0.854
```

(3)
Entry from the Materials Project database: an optimized crystal structure of H4Ru3C9N2O9 (PBE).

Summary:
Corrected total energy (MP2020 scheme), eV per atom: -7.64
Density, g/cm³: 2.3
Total magnetic moment, μB per cell: 0.000
Symmetry: No. 2
DFT formation energy, eV/atom: -0.76
Crystal system: triclinic
Final energy, eV per atom: -7.409

CIF file:
```
data_H4Ru3C9N2O9
_cell_length_a 9.503
_cell_length_b 13.227
_cell_length_c 14.518
_cell_angle_alpha 67.84
_cell_angle_beta 86.58
_cell_angle_gamma 82.46
_symmetry_space_group_name_H-M 'P 1'
_symmetry_Int_Tables_number 1
_symmetry_space_group_name_Hall 'P 1'
loop_
_atom_site_label
_atom_site_type_symbol
_atom_site_fract_x
_atom_site_fract_y
_atom_site_fract_z
H1 H 0.083 0.386 0.398
H2 H 0.100 0.126 0.735
H3 H 0.106 0.635 0.262
H4 H 0.176 0.292 0.291
H5 H 0.183 0.901 0.932
H6 H 0.193 0.765 0.862
H7 H 0.298 0.292 0.369
H8 H 0.352 0.805 0.859
H9 H 0.648 0.195 0.141
H10 H 0.702 0.708 0.631
H11 H 0.807 0.235 0.138
H12 H 0.817 0.099 0.068
H13 H 0.824 0.708 0.709
H14 H 0.894 0.365 0.738
H15 H 0.900 0.874 0.265
H16 H 0.917 0.614 0.602
Ru1 Ru 0.009 0.004 0.769
Ru2 Ru 0.044 0.545 0.208
Ru3 Ru 0.227 0.918 0.670
Ru4 Ru 0.262 0.550 0.331
Ru5 Ru 0.284 0.063 0.759
Ru6 Ru 0.327 0.471 0.179
Ru7 Ru 0.673 0.529 0.821
Ru8 Ru 0.716 0.937 0.241
Ru9 Ru 0.738 0.450 0.669
Ru10 Ru 0.773 0.082 0.330
Ru11 Ru 0.956 0.455 0.792
Ru12 Ru 0.991 0.996 0.231
C1 C 0.016 0.544 0.856
C2 C 0.021 0.671 0.090
C3 C 0.081 0.120 0.216
C4 C 0.100 0.953 0.133
C5 C 0.111 0.910 0.340
C6 C 0.139 0.428 0.734
C7 C 0.139 0.808 0.648
C8 C 0.166 0.580 0.440
C9 C 0.180 0.031 0.547
C10 C 0.297 0.136 0.851
C11 C 0.300 0.416 0.077
C12 C 0.312 0.183 0.639
C13 C 0.355 0.613 0.091
C14 C 0.356 0.680 0.282
C15 C 0.413 0.881 0.628
C16 C 0.433 0.464 0.396
C17 C 0.476 0.577 0.800
C18 C 0.477 0.003 0.766
C19 C 0.523 0.997 0.234
C20 C 0.524 0.423 0.200
C21 C 0.567 0.536 0.604
C22 C 0.587 0.119 0.372
C23 C 0.644 0.320 0.718
C24 C 0.645 0.387 0.909
C25 C 0.688 0.817 0.361
C26 C 0.700 0.584 0.923
C27 C 0.703 0.864 0.149
C28 C 0.820 0.969 0.453
C29 C 0.834 0.420 0.560
C30 C 0.861 0.192 0.352
C31 C 0.861 0.572 0.266
C32 C 0.889 0.090 0.660
C33 C 0.900 0.047 0.867
C34 C 0.919 0.880 0.784
C35 C 0.979 0.329 0.910
C36 C 0.984 0.456 0.144
N1 N 0.144 0.422 0.337
N2 N 0.191 0.923 0.856
N3 N 0.235 0.341 0.310
N4 N 0.251 0.831 0.831
N5 N 0.749 0.169 0.169
N6 N 0.765 0.659 0.690
N7 N 0.809 0.077 0.144
N8 N 0.856 0.578 0.663
O1 O 0.010 0.751 0.018
O2 O 0.056 0.597 0.895
O3 O 0.088 0.738 0.636
O4 O 0.101 0.601 0.502
O5 O 0.142 0.195 0.207
O6 O 0.154 0.101 0.470
O7 O 0.173 0.933 0.074
O8 O 0.185 0.858 0.407
O9 O 0.251 0.410 0.704
O10 O 0.286 0.386 0.013
O11 O 0.312 0.178 0.907
O12 O 0.321 0.256 0.563
O13 O 0.353 0.603 0.792
O14 O 0.374 0.701 0.035
O15 O 0.404 0.032 0.231
O16 O 0.408 0.761 0.250
O17 O 0.464 0.587 0.564
O18 O 0.476 0.142 0.403
O19 O 0.524 0.858 0.597
O20 O 0.536 0.413 0.436
O21 O 0.592 0.239 0.750
O22 O 0.596 0.968 0.769
O23 O 0.626 0.299 0.965
O24 O 0.647 0.397 0.208
O25 O 0.679 0.744 0.437
O26 O 0.688 0.822 0.093
O27 O 0.714 0.614 0.987
O28 O 0.749 0.590 0.296
O29 O 0.815 0.142 0.593
O30 O 0.827 0.067 0.926
O31 O 0.846 0.899 0.530
O32 O 0.858 0.805 0.793
O33 O 0.899 0.399 0.498
O34 O 0.912 0.262 0.364
O35 O 0.944 0.403 0.105
O36 O 0.990 0.249 0.982
```

- The highest density belongs to which entry?
  Sr2Re4H16C3N6O21

- corrected total energy (MP2020 scheme) of number 2 (H12RhC8NO6)?
  -6.33 eV per atom

- Number 3 is which compound?
  H4Ru3C9N2O9

- The highest total magnetic moment belongs to which entry?
  Sr2Re4H16C3N6O21